Computed, not measured: a geometry-optimized PaInO4 structure at the meta-GGA r2SCAN level of DFT.

Energy of formation from the pure elements, eV/atom: -2.995

abc: 6.513 6.513 6.513
angles: 132.09 132.09 70.09
Positions (direct):
Pa: 0.750 0.250 0.500
Pa: 0.000 0.000 0.000
O: 0.875 0.878 0.503
O: 0.875 0.372 0.997
O: 0.122 0.125 0.497
O: 0.122 0.625 0.997
O: 0.628 0.625 0.503
O: 0.375 0.878 0.003
O: 0.375 0.372 0.497
O: 0.628 0.125 0.003
In: 0.250 0.750 0.500
In: 0.500 0.500 0.000